1.
{"formula": "Rb2SmAgCl6", "functional": "GGA-PBE", "state": "optimized geometry", "cell": [[0.000, 5.438, 5.438], [5.438, 0.000, 5.438], [5.438, 5.438, 0.000]], "species": ["Rb", "Rb", "Sm", "Ag", "Cl", "Cl", "Cl", "Cl", "Cl", "Cl"], "fractional_positions": [[0.250, 0.250, 0.250], [0.750, 0.750, 0.750], [0.000, 0.000, 0.000], [0.500, 0.500, 0.500], [0.247, 0.247, 0.753], [0.247, 0.753, 0.247], [0.247, 0.753, 0.753], [0.753, 0.247, 0.247], [0.753, 0.247, 0.753], [0.753, 0.753, 0.247]], "sg": "Fm-3m (225)", "m_tot_mub_per_atom": 0.0001, "delta_e_f_ev_per_fu": -21.65}



2.
{"formula": "Rb2TmAgCl6", "functional": "GGA-PBE", "state": "optimized geometry", "cell": [[0.000, 5.348, 5.348], [5.348, 0.000, 5.348], [5.348, 5.348, 0.000]], "species": ["Rb", "Rb", "Tm", "Ag", "Cl", "Cl", "Cl", "Cl", "Cl", "Cl"], "fractional_positions": [[0.250, 0.250, 0.250], [0.750, 0.750, 0.750], [0.000, 0.000, 0.000], [0.500, 0.500, 0.500], [0.243, 0.243, 0.757], [0.243, 0.757, 0.243], [0.243, 0.757, 0.757], [0.757, 0.243, 0.243], [0.757, 0.243, 0.757], [0.757, 0.757, 0.243]], "sg": "Fm-3m (225)", "m_tot_mub_per_atom": 0.0001, "delta_e_f_ev_per_fu": -21.84}



3.
{"formula": "Ag5Te2Cl", "functional": "GGA-PBE", "state": "optimized geometry", "cell": [[7.798, 0.000, 0.000], [0.000, 14.016, 0.000], [0.000, 0.000, 14.101]], "species": ["Ag", "Ag", "Ag", "Ag", "Ag", "Ag", "Ag", "Ag", "Ag", "Ag", "Ag", "Ag", "Ag", "Ag", "Ag", "Ag", "Ag", "Ag", "Ag", "Ag", "Ag", "Ag", "Ag", "Ag", "Ag", "Ag", "Ag", "Ag", "Ag", "Ag", "Ag", "Ag", "Ag", "Ag", "Ag", "Ag", "Ag", "Ag", "Ag", "Ag", "Te", "Te", "Te", "Te", "Te", "Te", "Te", "Te", "Te", "Te", "Te", "Te", "Te", "Te", "Te", "Te", "Cl", "Cl", "Cl", "Cl", "Cl", "Cl", "Cl", "Cl"], "fractional_positions": [[0.009, 0.142, 0.108], [0.009, 0.358, 0.108], [0.065, 0.250, 0.927], [0.125, 0.100, 0.420], [0.125, 0.400, 0.420], [0.129, 0.571, 0.079], [0.129, 0.929, 0.079], [0.143, 0.750, 0.620], [0.207, 0.646, 0.297], [0.207, 0.854, 0.297], [0.293, 0.146, 0.797], [0.293, 0.354, 0.797], [0.357, 0.250, 0.120], [0.371, 0.071, 0.579], [0.371, 0.429, 0.579], [0.375, 0.600, 0.920], [0.375, 0.900, 0.920], [0.435, 0.750, 0.427], [0.491, 0.642, 0.608], [0.491, 0.858, 0.608], [0.509, 0.142, 0.392], [0.509, 0.358, 0.392], [0.565, 0.250, 0.573], [0.625, 0.100, 0.080], [0.625, 0.400, 0.080], [0.629, 0.571, 0.421], [0.629, 0.929, 0.421], [0.643, 0.750, 0.880], [0.707, 0.646, 0.203], [0.707, 0.854, 0.203], [0.793, 0.146, 0.703], [0.793, 0.354, 0.703], [0.857, 0.250, 0.380], [0.871, 0.071, 0.921], [0.871, 0.429, 0.921], [0.875, 0.600, 0.580], [0.875, 0.900, 0.580], [0.935, 0.750, 0.073], [0.991, 0.642, 0.892], [0.991, 0.858, 0.892], [0.212, 0.589, 0.491], [0.212, 0.911, 0.491], [0.215, 0.250, 0.632], [0.245, 0.250, 0.310], [0.255, 0.750, 0.810], [0.285, 0.750, 0.132], [0.288, 0.089, 0.991], [0.288, 0.411, 0.991], [0.712, 0.589, 0.009], [0.712, 0.911, 0.009], [0.715, 0.250, 0.868], [0.745, 0.250, 0.190], [0.755, 0.750, 0.690], [0.785, 0.750, 0.368], [0.788, 0.089, 0.509], [0.788, 0.411, 0.509], [0.011, 0.003, 0.755], [0.011, 0.497, 0.755], [0.489, 0.503, 0.255], [0.489, 0.997, 0.255], [0.511, 0.003, 0.745], [0.511, 0.497, 0.745], [0.989, 0.503, 0.245], [0.989, 0.997, 0.245]], "sg": "Pnma (62)", "delta_e_f_ev_per_fu": -2.03}



4.
{"formula": "Ag5Te2Cl", "functional": "GGA-PBE", "state": "optimized geometry", "cell": [[19.719, 0.000, 0.000], [0.000, 7.793, 0.000], [-0.011, 0.000, 19.899]], "species": ["Ag", "Ag", "Ag", "Ag", "Ag", "Ag", "Ag", "Ag", "Ag", "Ag", "Ag", "Ag", "Ag", "Ag", "Ag", "Ag", "Ag", "Ag", "Ag", "Ag", "Ag", "Ag", "Ag", "Ag", "Ag", "Ag", "Ag", "Ag", "Ag", "Ag", "Ag", "Ag", "Ag", "Ag", "Ag", "Ag", "Ag", "Ag", "Ag", "Ag", "Ag", "Ag", "Ag", "Ag", "Ag", "Ag", "Ag", "Ag", "Ag", "Ag", "Ag", "Ag", "Ag", "Ag", "Ag", "Ag", "Ag", "Ag", "Ag", "Ag", "Ag", "Ag", "Ag", "Ag", "Ag", "Ag", "Ag", "Ag", "Ag", "Ag", "Ag", "Ag", "Ag", "Ag", "Ag", "Ag", "Ag", "Ag", "Ag", "Ag", "Te", "Te", "Te", "Te", "Te", "Te", "Te", "Te", "Te", "Te", "Te", "Te", "Te", "Te", "Te", "Te", "Te", "Te", "Te", "Te", "Te", "Te", "Te", "Te", "Te", "Te", "Te", "Te", "Te", "Te", "Te", "Te", "Cl", "Cl", "Cl", "Cl", "Cl", "Cl", "Cl", "Cl", "Cl", "Cl", "Cl", "Cl", "Cl", "Cl", "Cl", "Cl"], "fractional_positions": [[0.002, 0.112, 0.081], [0.002, 0.388, 0.581], [0.008, 0.521, 0.130], [0.008, 0.979, 0.630], [0.062, 0.112, 0.500], [0.062, 0.388, 0.000], [0.063, 0.642, 0.682], [0.063, 0.858, 0.182], [0.114, 0.509, 0.237], [0.114, 0.991, 0.737], [0.159, 0.129, 0.235], [0.159, 0.371, 0.735], [0.190, 0.580, 0.022], [0.190, 0.920, 0.522], [0.216, 0.564, 0.488], [0.216, 0.936, 0.988], [0.219, 0.213, 0.423], [0.219, 0.287, 0.923], [0.233, 0.691, 0.341], [0.233, 0.809, 0.841], [0.241, 0.090, 0.670], [0.241, 0.410, 0.170], [0.295, 0.744, 0.592], [0.295, 0.756, 0.092], [0.319, 0.245, 0.530], [0.319, 0.255, 0.030], [0.334, 0.050, 0.905], [0.334, 0.450, 0.405], [0.334, 0.615, 0.766], [0.334, 0.885, 0.266], [0.368, 0.510, 0.263], [0.368, 0.990, 0.763], [0.432, 0.145, 0.313], [0.432, 0.355, 0.813], [0.432, 0.608, 0.500], [0.432, 0.892, 0.000], [0.481, 0.016, 0.868], [0.481, 0.484, 0.368], [0.488, 0.625, 0.911], [0.488, 0.875, 0.411], [0.512, 0.125, 0.589], [0.512, 0.375, 0.089], [0.519, 0.516, 0.632], [0.519, 0.984, 0.132], [0.568, 0.108, 0.000], [0.568, 0.392, 0.500], [0.568, 0.645, 0.187], [0.568, 0.855, 0.687], [0.632, 0.010, 0.237], [0.632, 0.490, 0.737], [0.666, 0.115, 0.734], [0.666, 0.385, 0.234], [0.666, 0.550, 0.595], [0.666, 0.950, 0.095], [0.681, 0.745, 0.970], [0.681, 0.755, 0.470], [0.705, 0.244, 0.908], [0.705, 0.256, 0.408], [0.759, 0.590, 0.830], [0.759, 0.910, 0.330], [0.767, 0.191, 0.159], [0.767, 0.309, 0.659], [0.781, 0.713, 0.077], [0.781, 0.787, 0.577], [0.784, 0.064, 0.012], [0.784, 0.436, 0.512], [0.810, 0.080, 0.478], [0.810, 0.420, 0.978], [0.841, 0.629, 0.265], [0.841, 0.871, 0.765], [0.886, 0.009, 0.263], [0.886, 0.491, 0.763], [0.937, 0.142, 0.818], [0.937, 0.358, 0.318], [0.938, 0.612, 0.000], [0.938, 0.888, 0.500], [0.992, 0.021, 0.370], [0.992, 0.479, 0.870], [0.998, 0.612, 0.419], [0.998, 0.888, 0.919], [0.026, 0.232, 0.214], [0.026, 0.268, 0.714], [0.063, 0.729, 0.542], [0.063, 0.771, 0.042], [0.178, 0.226, 0.062], [0.178, 0.274, 0.562], [0.208, 0.729, 0.704], [0.208, 0.771, 0.204], [0.287, 0.227, 0.296], [0.287, 0.273, 0.796], [0.315, 0.696, 0.950], [0.315, 0.804, 0.450], [0.446, 0.216, 0.460], [0.446, 0.284, 0.960], [0.467, 0.737, 0.779], [0.467, 0.763, 0.279], [0.533, 0.237, 0.721], [0.533, 0.263, 0.221], [0.554, 0.716, 0.040], [0.554, 0.784, 0.540], [0.685, 0.196, 0.550], [0.685, 0.304, 0.050], [0.713, 0.727, 0.204], [0.713, 0.773, 0.704], [0.792, 0.229, 0.796], [0.792, 0.271, 0.296], [0.822, 0.726, 0.438], [0.822, 0.774, 0.938], [0.937, 0.229, 0.958], [0.937, 0.271, 0.458], [0.974, 0.732, 0.286], [0.974, 0.768, 0.786], [0.125, 0.012, 0.877], [0.125, 0.488, 0.377], [0.130, 0.514, 0.872], [0.130, 0.986, 0.372], [0.377, 0.013, 0.625], [0.377, 0.487, 0.125], [0.379, 0.013, 0.121], [0.379, 0.487, 0.621], [0.621, 0.513, 0.379], [0.621, 0.987, 0.879], [0.623, 0.513, 0.875], [0.623, 0.987, 0.375], [0.870, 0.014, 0.628], [0.870, 0.486, 0.128], [0.875, 0.512, 0.623], [0.875, 0.988, 0.123]], "sg": "P2_1/c (14)", "m_tot_mub_per_atom": 0.0004, "delta_e_f_ev_per_fu": -2.03}



5.
{"formula": "TlAgCl3", "functional": "GGA-PBE", "state": "optimized geometry", "cell": [[3.641, 2.102, 5.876], [-3.641, 2.102, 5.876], [0.000, -4.204, 5.876]], "species": ["Tl", "Tl", "Ag", "Ag", "Cl", "Cl", "Cl", "Cl", "Cl", "Cl"], "fractional_positions": [[0.000, 0.000, 0.000], [0.500, 0.500, 0.500], [0.237, 0.237, 0.237], [0.737, 0.737, 0.737], [0.030, 0.943, 0.484], [0.443, 0.530, 0.984], [0.484, 0.030, 0.943], [0.530, 0.984, 0.443], [0.943, 0.484, 0.030], [0.984, 0.443, 0.530]], "sg": "R3c (161)", "m_tot_mub_per_atom": 0.0001, "delta_e_f_ev_per_fu": -5.07}



6.
{"formula": "TlAgCl3", "functional": "GGA-PBE", "state": "optimized geometry", "cell": [[5.126, 0.000, 0.000], [0.000, 5.126, 0.000], [0.000, 0.000, 5.130]], "species": ["Tl", "Ag", "Cl", "Cl", "Cl"], "fractional_positions": [[0.000, 0.000, 0.000], [0.500, 0.500, 0.486], [0.000, 0.500, 0.484], [0.500, 0.000, 0.484], [0.500, 0.500, 0.986]], "sg": "P4mm (99)", "delta_e_f_ev_per_fu": -5.07}



7.
{"formula": "CrAg3", "functional": "GGA-PBE", "state": "optimized geometry", "cell": [[-2.065, 2.065, 4.149], [2.065, -2.065, 4.149], [2.065, 2.065, -4.149]], "species": ["Cr", "Ag", "Ag", "Ag"], "fractional_positions": [[0.000, 0.000, 0.000], [0.250, 0.750, 0.500], [0.500, 0.500, 0.000], [0.750, 0.250, 0.500]], "sg": "I4/mmm (139)", "m_tot_mub_per_atom": 1.0682, "delta_e_f_ev_per_fu": 1.07}



8.
{"formula": "Cr2CuAgS4", "functional": "GGA-PBE", "state": "optimized geometry", "cell": [[6.141, 0.000, 0.000], [0.000, 3.539, 0.000], [-2.054, 0.000, 6.452]], "species": ["Cr", "Cr", "Cu", "Ag", "S", "S", "S", "S"], "fractional_positions": [[0.000, 0.000, 0.000], [0.495, 0.500, 0.995], [0.350, 0.500, 0.552], [0.846, 0.000, 0.543], [0.232, 0.500, 0.200], [0.266, 0.000, 0.775], [0.723, 0.000, 0.176], [0.754, 0.500, 0.790]], "sg": "Pm (6)", "m_tot_mub_per_atom": 0.7500, "delta_e_f_ev_per_fu": -5.75}